CsRbMn2Cl6 r²SCAN optimized geometry; space group = P6_3/mmc (194); E_tot = -12.41 eV per atom; formation energy from the elements = -1.881 eV per atom
1.0
7.234 -12.530 0.000
7.234 12.530 0.000
0.000 0.000 12.005
Cs Rb Mn Cl
8 8 16 48
Cartesian
3.617 -6.265 0.000
7.234 -4.177 9.004
3.617 6.265 0.000
3.617 -6.265 6.002
7.234 4.177 3.001
7.234 0.000 0.000
3.617 6.265 6.002
7.234 0.000 6.002
0.000 0.000 0.000
3.605 2.082 9.004
7.234 -8.367 3.001
7.234 8.367 9.004
10.863 2.082 9.004
0.000 0.000 6.002
3.605 -2.082 3.001
10.863 -2.082 3.001
10.871 -2.077 10.593
10.871 2.077 4.591
10.871 -2.077 7.414
10.871 2.077 1.412
3.597 2.077 1.412
3.597 2.077 4.591
7.234 8.376 4.591
7.234 -4.177 1.411
3.597 -2.077 7.414
7.234 8.376 1.412
7.234 -8.376 7.414
7.234 -8.376 10.593
3.597 -2.077 10.593
7.234 4.177 7.413
7.234 -4.177 4.591
7.234 4.177 10.594
8.950 5.167 9.004
5.447 9.435 0.000
5.509 -7.398 9.004
1.787 3.095 6.002
1.787 -3.095 6.002
7.234 6.287 6.021
9.062 3.122 6.021
1.876 -1.083 9.004
9.162 1.072 3.001
5.407 3.122 6.021
10.887 4.060 3.001
9.162 -1.072 9.004
5.518 -5.167 3.001
1.787 3.095 0.000
8.959 7.398 3.001
1.787 -3.095 0.000
8.950 -5.167 3.001
9.062 3.122 11.986
7.234 -2.195 3.001
3.582 -4.060 9.004
5.509 7.398 3.001
7.234 -6.287 5.984
7.234 -10.363 9.004
5.307 -1.072 9.004
3.574 0.000 0.000
5.447 -9.435 0.000
1.876 1.083 3.001
5.407 -3.122 0.019
5.447 -9.435 6.002
3.574 0.000 6.002
12.592 1.083 3.001
5.307 1.072 3.001
10.894 0.000 0.000
7.234 10.363 3.001
9.062 -3.122 0.019
10.887 -4.060 9.004
5.407 -3.122 5.984
7.234 6.287 11.986
5.447 9.435 6.002
5.518 5.167 9.004
12.592 -1.083 9.004
3.582 4.060 3.001
8.959 -7.398 9.004
7.234 -6.287 0.019
9.062 -3.122 5.984
7.234 2.195 9.004
10.894 0.000 6.002
5.407 3.122 11.986

---

KLiLuF5 r²SCAN optimized geometry; space group = P2_1/c (14); E_tot = -11.60 eV per atom; formation energy from the elements = -3.835 eV per atom
1.0
-5.800 0.000 2.495
0.083 0.000 -6.152
0.000 -11.560 0.000
K Li Lu F
4 4 4 20
Cartesian
-5.416 -4.033 -3.557
-0.301 -7.527 -0.100
-0.260 -9.813 -3.176
-5.458 -1.747 -0.481
-3.162 -8.612 -4.524
-2.555 -2.948 0.867
-2.514 -2.832 -2.209
-3.203 -8.728 -1.448
-3.888 -11.532 -3.348
-1.830 -0.028 -0.309
-1.789 -5.752 -3.386
-3.929 -5.808 -0.272
-4.131 -9.339 -2.988
-1.587 -2.221 -0.669
-1.545 -3.559 -3.745
-4.172 -8.001 0.088
-3.770 -6.129 -4.196
-1.947 -5.431 0.539
-1.906 -0.349 -2.537
-3.812 -11.211 -1.120
-5.482 -5.867 -1.751
-0.235 -5.693 -1.906
-0.194 -0.087 -4.982
-5.523 -11.473 1.325
-2.620 -10.358 -4.787
-3.098 -1.202 1.129
-3.057 -4.578 -1.947
-2.661 -6.982 -1.711
-1.606 -7.771 -4.043
-4.112 -3.789 0.386
-4.070 -1.991 -2.690
-1.647 -9.569 -0.967

---

GdZnPd r²SCAN optimized geometry; space group = Amm2 (38); E_tot = -25.80 eV per atom; formation energy from the elements = -0.708 eV per atom
1.0
-2.518 2.944 -0.232
5.301 4.681 1.855
-1.194 -1.575 -7.022
Gd Zn Pd
3 3 3
Cartesian
1.892 4.254 0.987
0.406 2.732 -2.203
-1.966 0.538 -4.298
0.124 -0.411 -6.560
3.088 2.336 -3.883
-0.295 -0.390 -1.744
0.970 0.509 -4.062
3.135 2.595 -1.106
4.038 6.149 1.738

---

AlSe4Cl4 r²SCAN optimized geometry; space group = Pca2_1 (29); E_tot = -10.69 eV per atom; formation energy from the elements = -0.843 eV per atom
1.0
10.662 0.000 0.000
0.000 13.678 0.000
0.000 0.000 14.813
Al Se Cl
8 32 32
Cartesian
2.844 11.214 1.666
2.549 0.142 10.882
8.112 0.142 3.476
8.112 6.982 3.931
2.549 6.982 11.338
7.818 4.374 13.147
2.844 4.374 5.740
7.818 11.214 9.073
2.903 1.786 14.773
4.928 3.111 8.897
9.747 11.971 14.196
2.903 8.625 7.447
4.248 4.852 1.938
10.003 1.782 8.054
0.914 11.971 6.789
9.747 5.132 8.024
7.758 1.786 7.367
0.749 10.307 5.160
4.044 8.386 5.429
4.248 11.691 5.468
7.758 8.625 0.040
4.928 9.950 13.323
6.414 11.691 12.875
0.749 3.468 2.246
9.913 3.468 9.653
7.541 4.768 7.315
0.658 8.621 6.759
9.913 10.307 12.567
5.734 9.950 5.917
6.414 4.852 9.345
10.003 8.621 14.166
6.618 1.547 9.385
6.618 8.386 12.836
3.121 11.607 7.498
7.541 11.607 0.092
4.044 1.547 1.978
0.658 1.782 0.648
3.121 4.768 14.722
5.734 3.111 1.490
0.914 5.132 0.617
8.100 4.980 0.391
8.397 11.714 3.275
6.214 7.490 3.058
2.262 2.352 5.447
8.184 7.850 5.918
2.561 4.980 7.797
4.919 4.610 5.229
8.400 9.191 9.367
5.743 11.449 9.585
2.262 9.191 1.960
8.969 12.562 10.293
0.992 7.842 10.148
8.969 5.723 11.928
8.397 4.875 4.132
2.265 4.875 11.539
4.448 0.651 11.756
0.992 1.003 12.072
2.478 7.850 13.325
8.400 2.352 12.853
1.693 5.723 4.521
9.670 7.842 2.741
4.919 11.449 2.178
9.670 1.003 4.666
2.478 1.011 8.895
2.561 11.819 14.423
4.448 7.490 10.465
8.184 1.011 1.488
6.214 0.651 4.349
1.693 12.562 2.886
5.743 4.610 12.636
8.100 11.819 7.016
2.265 11.714 10.682

---

YUTe6 r²SCAN optimized geometry; space group = Amm2 (38); E_tot = -32.54 eV per atom; formation energy from the elements = -0.948 eV per atom
1.0
2.186 -13.072 0.000
2.186 13.072 0.000
0.000 0.000 4.372
Y U Te
1 1 6
Cartesian
2.186 -8.631 0.000
2.186 8.653 2.186
2.186 1.961 0.000
2.186 -1.965 2.186
2.186 -5.395 0.000
2.186 5.386 2.186
2.186 11.107 0.000
2.186 -11.115 2.186

---

YCo5P3 r²SCAN optimized geometry; space group = Pnma (62); E_tot = -13.39 eV per atom; formation energy from the elements = -0.777 eV per atom
1.0
3.641 0.000 0.000
0.000 10.193 0.000
0.000 0.000 11.653
Y Co P
4 20 12
Cartesian
0.910 9.356 2.347
2.731 0.836 9.307
2.731 4.260 3.480
0.910 5.933 8.173
0.910 8.040 5.697
2.731 2.152 5.956
2.731 2.944 0.129
0.910 7.249 11.524
0.910 0.967 11.510
2.731 9.226 0.144
2.731 6.063 5.970
0.910 4.130 5.683
0.910 2.836 7.869
2.731 7.356 3.784
2.731 7.933 9.611
0.910 2.260 2.042
0.910 6.293 2.312
2.731 3.899 9.342
2.731 1.197 3.515
0.910 8.996 8.138
0.910 0.340 5.049
2.731 9.853 6.604
2.731 5.436 0.778
0.910 4.757 10.876
0.910 0.816 7.148
2.731 9.377 4.505
2.731 5.912 10.332
0.910 4.281 1.322
0.910 2.332 4.276
2.731 7.861 7.377
2.731 7.428 1.551
0.910 2.765 10.103
0.910 9.152 10.402
2.731 1.041 1.252
2.731 4.056 7.078
0.910 6.137 4.575

---

Repeat the third record exactly.
GdZnPd r²SCAN optimized geometry; space group = Amm2 (38); E_tot = -25.80 eV per atom; formation energy from the elements = -0.708 eV per atom
1.0
-2.518 2.944 -0.232
5.301 4.681 1.855
-1.194 -1.575 -7.022
Gd Zn Pd
3 3 3
Cartesian
1.892 4.254 0.987
0.406 2.732 -2.203
-1.966 0.538 -4.298
0.124 -0.411 -6.560
3.088 2.336 -3.883
-0.295 -0.390 -1.744
0.970 0.509 -4.062
3.135 2.595 -1.106
4.038 6.149 1.738

---

Question: Which value of formation energy from the elements does entry 6 give?
Answer: -0.777 eV per atom

---

Question: Which value of formation energy from the elements does entry 6 give?
Answer: -0.777 eV per atom

---

What did the second record say?
KLiLuF5 r²SCAN optimized geometry; space group = P2_1/c (14); E_tot = -11.60 eV per atom; formation energy from the elements = -3.835 eV per atom
1.0
-5.800 0.000 2.495
0.083 0.000 -6.152
0.000 -11.560 0.000
K Li Lu F
4 4 4 20
Cartesian
-5.416 -4.033 -3.557
-0.301 -7.527 -0.100
-0.260 -9.813 -3.176
-5.458 -1.747 -0.481
-3.162 -8.612 -4.524
-2.555 -2.948 0.867
-2.514 -2.832 -2.209
-3.203 -8.728 -1.448
-3.888 -11.532 -3.348
-1.830 -0.028 -0.309
-1.789 -5.752 -3.386
-3.929 -5.808 -0.272
-4.131 -9.339 -2.988
-1.587 -2.221 -0.669
-1.545 -3.559 -3.745
-4.172 -8.001 0.088
-3.770 -6.129 -4.196
-1.947 -5.431 0.539
-1.906 -0.349 -2.537
-3.812 -11.211 -1.120
-5.482 -5.867 -1.751
-0.235 -5.693 -1.906
-0.194 -0.087 -4.982
-5.523 -11.473 1.325
-2.620 -10.358 -4.787
-3.098 -1.202 1.129
-3.057 -4.578 -1.947
-2.661 -6.982 -1.711
-1.606 -7.771 -4.043
-4.112 -3.789 0.386
-4.070 -1.991 -2.690
-1.647 -9.569 -0.967